A relaxed structure of K3Sb2Au3, computed with meta-GGA r2SCAN.

Computed properties:
- Uncorrected energy: -28.205 eV per atom
- V: 30.58 Å³/atom
- ΔE_f: -553 meV/atom

```
K3Sb2Au3
1.0
-6.141 -4.288 2.976
-5.495 -4.940 -3.218
-1.560 -7.879 0.667
K Sb Au
3 2 3
direct
0.920 0.920 0.920 K
0.080 0.080 0.080 K
0.500 0.500 0.500 K
0.758 0.758 0.758 Sb
0.242 0.242 0.242 Sb
0.500 0.000 0.500 Au
0.500 0.500 0.000 Au
0.000 0.500 0.500 Au
```